1.
Rb3LuO3 (PBE-GGA, relaxed); calculated volume = 673 Å³ per cell; energy of formation from the pure elements = -2.27 eV/atom; energy = -144.41 eV for the cell shown
1.0
7.918 0.000 0.000
0.000 7.309 0.000
-0.900 0.000 11.623
Rb Lu O
12 4 12
Cartesian
0.366 0.891 1.799
-0.084 2.763 7.610
2.011 1.256 10.716
2.461 2.399 4.905
2.234 5.084 9.386
2.684 5.880 3.575
4.335 1.429 8.048
4.785 2.226 2.237
4.558 4.910 6.718
5.008 6.053 0.907
7.103 4.546 4.013
6.653 6.418 9.824
1.204 4.292 0.768
0.754 6.671 6.579
6.265 0.638 5.043
5.815 3.017 10.854
0.454 0.353 4.712
0.004 3.301 10.523
1.503 4.757 6.294
1.953 6.206 0.483
1.810 0.426 7.983
2.260 3.229 2.171
4.759 4.080 9.451
5.208 6.883 3.640
5.066 1.103 11.140
5.516 2.552 5.328
7.014 4.008 1.100
6.564 6.956 6.911

=====

2.
RbLuS2O8 (PBE-GGA, relaxed); calculated volume = 350 Å³ per cell; energy of formation from the pure elements = -2.56 eV/atom; energy = -157.25 eV for the cell shown
1.0
8.905 0.000 0.000
0.000 5.117 0.000
-0.710 0.000 7.682
Rb Lu S O
2 2 4 16
Cartesian
-0.177 0.965 1.921
-0.532 4.152 5.762
4.275 0.535 1.921
3.920 4.581 5.762
1.974 1.642 6.491
2.329 3.474 2.650
5.867 1.642 5.033
6.222 3.474 1.191
0.648 1.623 7.089
1.003 3.494 3.248
2.057 0.760 5.282
2.412 4.356 1.441
2.724 2.083 2.299
2.369 3.034 6.140
3.049 1.044 7.391
3.404 4.073 3.550
4.791 1.044 4.132
5.146 4.073 0.291
5.827 2.083 1.542
5.472 3.034 5.383
5.783 0.760 6.241
6.138 4.356 2.400
7.193 1.623 4.435
7.548 3.494 0.593

=====

3.
RbLuS2O9 (PBE-GGA, relaxed); calculated volume = 780 Å³ per cell; energy of formation from the pure elements = -2.22 eV/atom; energy = -323.69 eV for the cell shown
1.0
10.077 0.000 0.000
0.000 8.492 0.000
-4.764 0.000 9.119
Rb Lu S O
4 4 8 36
Cartesian
1.344 1.411 1.658
-1.038 2.834 6.218
6.352 5.657 2.901
3.970 7.080 7.461
2.358 5.340 0.278
-0.024 7.398 4.838
5.337 1.094 4.282
2.955 3.152 8.841
-0.261 5.362 1.678
-2.643 7.375 6.237
0.677 5.909 8.116
3.059 6.829 3.557
2.254 1.663 5.563
4.636 2.583 1.003
7.956 1.116 2.882
5.575 3.130 7.442
-2.068 6.363 5.275
0.314 6.374 0.715
-0.659 6.003 2.947
-3.040 6.735 7.507
-0.896 0.498 3.477
-3.278 3.748 8.036
0.814 4.344 1.828
-1.567 8.394 6.388
0.771 5.295 5.128
3.153 7.442 0.568
-0.600 5.145 8.031
1.782 7.592 3.471
1.085 0.751 5.581
3.467 3.495 1.022
3.180 5.955 2.335
0.798 6.782 6.895
-0.155 1.751 8.903
2.227 2.495 4.343
3.086 5.996 4.776
5.468 6.741 0.217
4.515 1.710 2.225
2.133 2.536 6.784
1.846 4.997 8.098
4.228 7.741 3.538
3.531 0.899 5.648
5.913 3.346 1.089
2.161 1.049 8.551
4.542 3.197 3.991
6.881 0.098 2.732
4.499 4.148 7.291
8.592 4.744 1.083
6.210 7.994 5.643
8.354 1.757 1.613
5.972 2.489 6.172
4.999 2.118 8.404
7.381 2.128 3.844